Entry a
Here is a relaxed structure of Sr2TiMnO6 from the Materials Project database. Energies are from GGA+U.

Unit cell a=5.507 b=9.540 c=5.508 alpha=73.24 beta=119.99 gamma=106.78
Positions (direct):
O 0.376 0.624 0.129
O 0.124 0.876 0.371
O 0.366 0.620 0.620
O 0.868 0.627 0.627
O 0.634 0.380 0.380
O 0.876 0.124 0.629
O 0.368 0.127 0.127
O 0.632 0.873 0.873
O 0.134 0.880 0.880
O 0.132 0.373 0.373
O 0.866 0.120 0.120
O 0.624 0.376 0.871
Mn 0.000 0.000 0.000
Mn 0.500 0.500 0.500
Sr 0.125 0.375 0.875
Sr 0.375 0.125 0.625
Sr 0.875 0.625 0.125
Sr 0.625 0.875 0.375
Ti 0.250 0.750 0.750
Ti 0.750 0.250 0.250

Calculated values
For the volume, the calculation gives 236.3 Å³/cell.


Entry b
Here is a relaxed structure of Sr2TiMnO6 from the Materials Project database. Energies are from GGA+U.

Unit cell a=6.751 b=6.751 c=11.676 alpha=78.79 beta=78.79 gamma=109.12
Positions (direct):
O 0.438 0.685 0.876
O 0.875 0.375 0.250
O 0.565 0.812 0.624
O 0.062 0.815 0.124
O 0.000 0.000 0.500
O 0.750 0.750 0.000
O 0.685 0.438 0.876
O 0.500 0.500 0.500
O 0.815 0.062 0.124
O 0.938 0.185 0.876
O 0.312 0.065 0.624
O 0.188 0.435 0.376
O 0.375 0.875 0.250
O 0.435 0.188 0.376
O 0.185 0.938 0.876
O 0.250 0.250 0.000
O 0.688 0.935 0.376
O 0.315 0.562 0.124
O 0.562 0.315 0.124
O 0.625 0.125 0.750
O 0.812 0.565 0.624
O 0.065 0.312 0.624
O 0.125 0.625 0.750
O 0.935 0.688 0.376
Sr 0.375 0.375 0.750
Sr 0.125 0.125 0.250
Sr 0.000 0.500 0.000
Sr 0.750 0.250 0.500
Sr 0.250 0.750 0.500
Sr 0.500 0.000 0.000
Sr 0.875 0.875 0.750
Sr 0.625 0.625 0.250
Ti 0.875 0.375 0.750
Ti 0.375 0.875 0.750
Ti 0.125 0.625 0.250
Ti 0.625 0.125 0.250
Mn 0.500 0.500 0.000
Mn 0.250 0.250 0.500
Mn 0.750 0.750 0.500
Mn 0.000 0.000 0.000

Calculated values
For the volume, the calculation gives 473.7 Å³/cell.


According to the calculations, the structures order from most to least stable as entry a, entry b.